Entry 1:
Here is a relaxed structure of La2InCuSe5 from Materials Project. Energies are from PBE-GGA.

Structure (extended XYZ):
```
36
Lattice="12.2593 0.0000 0.0000 0.0000 4.1394 0.0000 0.0000 0.0000 17.5954" Properties=species:S:1:pos:R:3 pbc="T T T"
La 0.2705 1.0349 3.1358
La 1.6828 3.1046 10.4396
La 4.4469 1.0349 1.6420
La 5.8591 3.1046 11.9335
La 6.4002 1.0349 5.6619
La 7.8124 3.1046 15.9534
La 10.5765 1.0349 7.1557
La 11.9887 3.1046 14.4596
In 2.3424 3.1046 6.3530
In 3.7872 1.0349 15.1507
In 8.4721 3.1046 2.4446
In 9.9168 1.0349 11.2423
Cu 0.9311 3.1046 17.5585
Cu 5.1985 1.0349 8.7608
Cu 7.0607 3.1046 8.8345
Cu 11.3282 1.0349 0.0368
Se 0.1973 1.0349 12.2232
Se 1.2389 1.0349 16.2458
Se 1.3173 1.0349 8.1524
Se 2.2298 3.1046 2.0046
Se 2.9420 3.1046 13.5672
Se 3.1876 1.0349 4.7695
Se 3.8998 1.0349 10.8023
Se 4.8123 3.1046 16.9501
Se 4.8907 3.1046 7.4481
Se 5.9323 3.1046 3.4256
Se 6.3269 1.0349 14.1698
Se 7.3685 1.0349 10.1472
Se 7.4470 1.0349 0.6453
Se 8.3595 3.1046 6.7931
Se 9.0717 3.1046 12.8259
Se 9.3173 1.0349 4.0282
Se 10.0294 1.0349 15.5907
Se 10.9419 3.1046 9.4430
Se 11.0204 3.1046 1.3496
Se 12.0620 3.1046 5.3721
```

Results
total energy after the MP2020 corrections	-193.56	eV/cell
calculated volume	24.80	Å³ per atom
DFT formation energy	-1.5763	eV per atom
spin magnetization	0.00	Bohr magnetons per cell

Entry 2:
Here is a relaxed structure of Lu2InCu2 from Materials Project. Energies are from PBE-GGA.

Structure (extended XYZ):
```
10
Lattice="7.5158 0.0000 0.0000 0.0000 7.5158 0.0000 0.0000 0.0000 3.5280" Properties=species:S:1:pos:R:3 pbc="T T T"
Lu 1.2968 2.4611 0.0000
Lu 2.4611 6.2190 0.0000
Lu 5.0547 1.2968 0.0000
Lu 6.2190 5.0547 0.0000
In 0.0000 0.0000 1.7640
In 3.7579 3.7579 1.7640
Cu 0.8970 4.6549 1.7640
Cu 2.8609 0.8970 1.7640
Cu 4.6549 6.6188 1.7640
Cu 6.6188 2.8609 1.7640
```

Results
calculated volume	19.93	Å³ per atom
DFT formation energy	-0.3938	eV per atom

Entry 3:
Here is a relaxed structure of MgInCu4 from Materials Project. Energies are from PBE-GGA.

Structure (extended XYZ):
```
6
Lattice="0.0000 3.5323 3.5323 3.5323 0.0000 3.5323 3.5323 3.5323 0.0000" Properties=species:S:1:pos:R:3 pbc="T T T"
Mg 0.0000 0.0000 0.0000
In 1.7661 1.7661 1.7661
Cu 4.4178 2.6468 2.6468
Cu 2.6468 4.4178 2.6468
Cu 2.6468 2.6468 4.4178
Cu 4.4178 4.4178 4.4178
```

Results
calculated volume	14.69	Å³ per atom
DFT formation energy	-0.1097	eV per atom

Entry 4:
Here is a relaxed structure of MnInCu2 from Materials Project. Energies are from PBE-GGA.

Structure (extended XYZ):
```
4
Lattice="0.0000 3.0900 3.0900 3.0900 0.0000 3.0900 3.0900 3.0900 0.0000" Properties=species:S:1:pos:R:3 pbc="T T T"
Mn 0.0000 0.0000 0.0000
In 3.0900 3.0900 3.0900
Cu 1.5450 1.5450 1.5450
Cu 4.6351 4.6351 4.6351
```

Results
calculated volume	14.75	Å³ per atom
DFT formation energy	0.0768	eV per atom
spin magnetization	3.84	Bohr magnetons per cell

Entry 5:
Here is a relaxed structure of MnInCu from Materials Project. Energies are from PBE-GGA.

Structure (extended XYZ):
```
12
Lattice="7.8957 0.0000 0.0000 0.0000 2.5658 4.5893 0.0000 -2.5658 4.5893" Properties=species:S:1:pos:R:3 pbc="T T T"
Mn 0.0000 0.0000 0.0000
Mn 0.0000 -1.2647 6.9034
Mn 0.0000 1.2647 6.9034
Mn 3.9478 0.0000 3.1176
In 1.5090 0.0000 4.6047
In 2.4971 0.0000 7.6630
In 5.3985 0.0000 7.6630
In 6.3866 0.0000 4.6047
Cu 2.0059 0.0000 1.5812
Cu 3.9478 -1.2667 5.3696
Cu 3.9478 1.2667 5.3696
Cu 5.8897 0.0000 1.5812
```

Results
calculated volume	15.50	Å³ per atom
DFT formation energy	0.2043	eV per atom
spin magnetization	12.96	Bohr magnetons per cell

Entry 6:
Here is a relaxed structure of MnInCu from Materials Project. Energies are from PBE-GGA.

Structure (extended XYZ):
```
12
Lattice="7.9061 0.0000 0.0000 0.0000 2.7326 4.7953 0.0000 -2.7326 4.7953" Properties=species:S:1:pos:R:3 pbc="T T T"
Mn 1.3761 0.0000 0.0000
Mn 2.3613 0.0000 6.5562
Mn 5.5447 0.0000 6.5562
Mn 6.5299 0.0000 0.0000
In 0.0000 0.0000 4.8675
In 3.9530 0.0000 1.5459
In 3.9530 -1.3740 4.0136
In 3.9530 1.3740 4.0136
Cu 0.0000 -1.2587 7.1980
Cu 0.0000 1.2587 7.1980
Cu 1.8490 0.0000 3.0216
Cu 6.0570 0.0000 3.0216
```

Results
calculated volume	17.27	Å³ per atom
DFT formation energy	0.3899	eV per atom
spin magnetization	15.54	Bohr magnetons per cell

Entry 7:
Here is a relaxed structure of MnInCuS4 from Materials Project. Energies are from PBE-GGA.

Structure (extended XYZ):
```
7
Lattice="6.1418 0.0000 0.0000 0.0000 3.8430 0.0000 -0.0469 0.0000 6.7683" Properties=species:S:1:pos:R:3 pbc="T T T"
Mn 0.0000 0.0000 0.0000
In 3.1498 0.0000 4.4821
Cu 3.1712 1.9215 1.1085
S 2.2814 0.0000 0.1043
S 2.2639 1.9215 3.2161
S 5.3935 1.9215 0.8760
S 5.6239 0.0000 4.6824
```

Results
total energy after the MP2020 corrections	-37.04	eV/cell
calculated volume	22.82	Å³ per atom
DFT formation energy	-0.6409	eV per atom
spin magnetization	3.00	Bohr magnetons per cell

Entry 8:
Here is a relaxed structure of Mn2InCuSe4 from Materials Project. Energies are from PBE-GGA.

Structure (extended XYZ):
```
8
Lattice="-2.8215 2.8215 5.5784 2.8215 -2.8215 5.5784 2.8215 2.8215 -5.5784" Properties=species:S:1:pos:R:3 pbc="T T T"
Mn 2.8215 0.0000 2.7892
Mn 0.0000 2.8215 2.7892
In 0.0000 0.0000 0.0000
Cu 0.0000 0.0000 5.5784
Se 1.5416 1.5416 -1.6172
Se 1.2799 -1.2799 7.1956
Se 1.2799 1.2799 3.9612
Se -1.2799 1.2799 7.1956
```

Results
total energy after the MP2020 corrections	-42.84	eV/cell
calculated volume	22.20	Å³ per atom
DFT formation energy	-0.4604	eV per atom
spin magnetization	8.72	Bohr magnetons per cell

Entry 9:
Here is a relaxed structure of Mn2InCuTe4 from Materials Project. Energies are from PBE-GGA.

Structure (extended XYZ):
```
8
Lattice="-2.9279 2.9279 5.8359 2.9279 -2.9279 5.8359 2.9279 2.9279 -5.8359" Properties=species:S:1:pos:R:3 pbc="T T T"
Mn 2.9279 0.0000 2.9180
Mn 0.0000 2.9279 2.9180
In 0.0000 0.0000 0.0000
Cu 0.0000 0.0000 5.8359
Te 2.9279 0.0000 0.0000
Te 0.0000 0.0000 3.0963
Te 0.0000 2.9279 0.0000
Te 0.0000 0.0000 8.5756
```

Results
total energy after the MP2020 corrections	-39.88	eV/cell
calculated volume	25.01	Å³ per atom
DFT formation energy	-0.2669	eV per atom
spin magnetization	9.27	Bohr magnetons per cell

Entry 10:
Here is a relaxed structure of MnInCuTe3 from Materials Project. Energies are from PBE-GGA.

Structure (extended XYZ):
```
6
Lattice="7.3712 -2.2387 0.0000 7.3712 2.2387 0.0000 -2.6682 0.0000 5.6760" Properties=species:S:1:pos:R:3 pbc="T T T"
Mn 0.0000 0.0000 0.0000
In 3.9860 0.0000 1.7974
Cu 7.9720 0.0000 3.7997
Te -0.0469 0.0000 5.0015
Te 6.8116 0.0000 1.4588
Te 10.5471 0.0000 3.4151
```

Results
total energy after the MP2020 corrections	-27.91	eV/cell
calculated volume	31.22	Å³ per atom
DFT formation energy	-0.4120	eV per atom
spin magnetization	5.00	Bohr magnetons per cell